This record from Materials Project describes crystalline Na5Fe2P2C2O14 at its relaxed geometry. The functional is PBE with a Hubbard U.

a = 5.2590 Å, b = 6.5954 Å, c = 18.0259 Å
α = 90.00°, β = 90.51°, γ = 90.00°
Fractional coordinates of all 50 atoms:
Na 0.0000 0.0123 0.0000
Na 0.0000 0.9877 0.5000
Na 0.4745 0.4830 0.0809
Na 0.4745 0.5170 0.5809
Na 0.4940 0.2559 0.4077
Na 0.4940 0.7441 0.9077
Na 0.4950 0.2518 0.9066
Na 0.4950 0.7482 0.4066
Na 0.9973 0.2679 0.6705
Na 0.9973 0.7321 0.1705
Fe 0.0203 0.4976 0.8606
Fe 0.0203 0.5024 0.3606
Fe 0.4571 0.0133 0.2100
Fe 0.4571 0.9867 0.7100
P 0.5422 0.4957 0.7458
P 0.5422 0.5043 0.2458
P 0.9554 0.0016 0.3263
P 0.9554 0.9984 0.8263
C 0.5104 0.0072 0.5695
C 0.5104 0.9928 0.0695
C 0.9687 0.4959 0.5065
C 0.9687 0.5041 0.0065
O 0.0102 0.1826 0.8776
O 0.0102 0.8174 0.3776
O 0.0147 0.1889 0.3751
O 0.0147 0.8111 0.8751
O 0.1147 0.0064 0.7547
O 0.1147 0.9936 0.2547
O 0.1929 0.4974 0.9748
O 0.1929 0.5026 0.4748
O 0.2875 0.0052 0.6010
O 0.2875 0.9948 0.1010
O 0.4001 0.4991 0.8204
O 0.4001 0.5009 0.3204
O 0.4582 0.3089 0.6971
O 0.4582 0.6911 0.1971
O 0.4732 0.3117 0.1986
O 0.4732 0.6883 0.6986
O 0.5327 0.0034 0.4983
O 0.5327 0.9966 0.9983
O 0.6645 0.0011 0.3046
O 0.6645 0.9989 0.8046
O 0.7061 0.0084 0.6140
O 0.7061 0.9916 0.1140
O 0.7662 0.4967 0.9634
O 0.7662 0.5033 0.4634
O 0.8306 0.4839 0.7595
O 0.8306 0.5161 0.2595
O 0.9481 0.4841 0.5767
O 0.9481 0.5159 0.0767

Calculated values
E in eV/atom: -6.572
Volume in Å³/f.u.: 313
Calculated formation energy in eV/atom: -2.253
ρ in kg/m³: 2850
Polymorph energy (0 for the lowest one) in meV per atom: 11



This record from Materials Project describes crystalline Na3FePCO7 at its relaxed geometry. The functional is PBE with a Hubbard U.

a = 5.3010 Å, b = 11.2364 Å, c = 11.2384 Å
α = 73.55°, β = 89.98°, γ = 89.98°
Fractional coordinates of all 52 atoms:
Na 0.0000 0.0000 0.0000
Na 0.9995 0.5002 0.5000
Na 0.0146 0.2452 0.7451
Na 0.0147 0.7453 0.2451
Na 0.0645 0.7129 0.9475
Na 0.0649 0.2129 0.4475
Na 0.5042 0.5018 0.9962
Na 0.5050 0.0016 0.4961
Na 0.5096 0.2492 0.2435
Na 0.5095 0.7491 0.7437
Na 0.9495 0.2978 0.0321
Na 0.9497 0.7976 0.5325
Fe 0.4771 0.5226 0.2709
Fe 0.4778 0.0227 0.7709
Fe 0.5362 0.4743 0.7228
Fe 0.5374 0.9744 0.2228
P 0.4923 0.2021 0.9496
P 0.4925 0.7020 0.4496
P 0.5220 0.2957 0.5431
P 0.5218 0.7958 0.0433
C 0.0059 0.5465 0.7950
C 0.0068 0.0465 0.2949
C 0.0075 0.4504 0.1987
C 0.0082 0.9504 0.6987
O 0.0691 0.0170 0.7709
O 0.0687 0.5170 0.2711
O 0.1834 0.4004 0.1473
O 0.1843 0.9004 0.6473
O 0.2046 0.1892 0.9406
O 0.2047 0.6893 0.4404
O 0.2434 0.5683 0.8132
O 0.2443 0.0683 0.3130
O 0.3836 0.3754 0.6177
O 0.3837 0.8757 0.1176
O 0.4243 0.6593 0.0915
O 0.4252 0.1590 0.5913
O 0.4373 0.3416 0.4044
O 0.4373 0.8417 0.9044
O 0.5765 0.3409 0.9037
O 0.5773 0.8408 0.4037
O 0.5891 0.6538 0.5863
O 0.5896 0.1538 0.0861
O 0.6308 0.1277 0.8697
O 0.6309 0.6274 0.3699
O 0.7699 0.4325 0.1769
O 0.7706 0.9321 0.6769
O 0.8098 0.3048 0.5558
O 0.8096 0.8048 0.0560
O 0.8298 0.5979 0.8449
O 0.8306 0.0979 0.3448
O 0.9451 0.4741 0.7284
O 0.9458 0.9741 0.2283

Calculated values
E in eV/atom: -6.469
Volume in Å³/f.u.: 161
Calculated formation energy in eV/atom: -2.266
ρ in kg/m³: 2895
Polymorph energy (0 for the lowest one) in meV per atom: 15



This record from Materials Project describes crystalline Na5Fe2P2C2O14 at its relaxed geometry. The functional is PBE with a Hubbard U.

a = 6.6188 Å, b = 9.0318 Å, c = 10.5271 Å
α = 90.55°, β = 90.19°, γ = 90.51°
Fractional coordinates of all 50 atoms:
Na 0.0008 0.2670 0.1178
Na 0.0106 0.2598 0.6296
Na 0.2625 0.0847 0.8596
Na 0.2694 0.0785 0.3765
Na 0.4947 0.2695 0.1115
Na 0.5053 0.7305 0.8885
Na 0.7306 0.9215 0.6235
Na 0.7375 0.9153 0.1404
Na 0.9894 0.7402 0.3704
Na 0.9992 0.7330 0.8822
Fe 0.2548 0.6590 0.1468
Fe 0.2577 0.6430 0.6370
Fe 0.7423 0.3570 0.3630
Fe 0.7452 0.3410 0.8532
P 0.2460 0.4233 0.3968
P 0.2480 0.4160 0.8947
P 0.7520 0.5840 0.1053
P 0.7540 0.5767 0.6032
C 0.2416 0.9235 0.6179
C 0.2435 0.9498 0.1108
C 0.7565 0.0502 0.8892
C 0.7584 0.0765 0.3821
O 0.0591 0.3211 0.3652
O 0.0630 0.3188 0.8562
O 0.2259 0.0627 0.6067
O 0.2346 0.8902 0.2225
O 0.2385 0.4550 0.0384
O 0.2404 0.5697 0.3274
O 0.2427 0.4556 0.5440
O 0.2471 0.8332 0.5200
O 0.2482 0.0922 0.0983
O 0.2500 0.8634 0.0103
O 0.2526 0.5640 0.8166
O 0.2568 0.8593 0.7295
O 0.4348 0.3282 0.3617
O 0.4369 0.3206 0.8695
O 0.5631 0.6794 0.1305
O 0.5652 0.6718 0.6383
O 0.7432 0.1407 0.2705
O 0.7474 0.4360 0.1834
O 0.7500 0.1366 0.9897
O 0.7518 0.9078 0.9017
O 0.7529 0.1668 0.4800
O 0.7573 0.5444 0.4560
O 0.7596 0.4303 0.6726
O 0.7615 0.5450 0.9616
O 0.7654 0.1098 0.7775
O 0.7741 0.9373 0.3933
O 0.9370 0.6812 0.1438
O 0.9409 0.6789 0.6348

Calculated values
E in eV/atom: -6.577
Volume in Å³/f.u.: 315
Calculated formation energy in eV/atom: -2.258
ρ in kg/m³: 2832
Polymorph energy (0 for the lowest one) in meV per atom: 6



This record from Materials Project describes crystalline Na2FePCO7 at its relaxed geometry. The functional is PBE with a Hubbard U.

a = 8.3428 Å, b = 8.3563 Å, c = 10.3527 Å
α = 108.05°, β = 108.08°, γ = 102.51°
Fractional coordinates of all 48 atoms:
Na 0.0005 0.0182 0.2672
Na 0.9995 0.9818 0.7328
Na 0.0542 0.3002 0.0868
Na 0.2724 0.7524 0.2681
Na 0.4607 0.2059 0.9276
Na 0.5393 0.7941 0.0724
Na 0.7276 0.2476 0.7319
Na 0.9458 0.6998 0.9132
Fe 0.0711 0.3216 0.6538
Fe 0.4506 0.2005 0.3431
Fe 0.5494 0.7995 0.6569
Fe 0.9289 0.6784 0.3462
P 0.1909 0.4393 0.4220
P 0.3083 0.0570 0.5737
P 0.6917 0.9430 0.4263
P 0.8091 0.5607 0.5780
C 0.2210 0.4753 0.9346
C 0.2638 0.0182 0.0640
C 0.7362 0.9818 0.9360
C 0.7790 0.5247 0.0654
O 0.0637 0.3164 0.4631
O 0.0781 0.3275 0.8703
O 0.0847 0.5217 0.3243
O 0.1568 0.9017 0.4297
O 0.1761 0.9412 0.9235
O 0.2144 0.9626 0.1558
O 0.2257 0.1635 0.6713
O 0.2576 0.3166 0.3205
O 0.2765 0.5245 0.8432
O 0.2977 0.5626 0.0744
O 0.3424 0.5861 0.5663
O 0.4103 0.1596 0.1264
O 0.4268 0.1780 0.5262
O 0.4307 0.9907 0.6761
O 0.5693 0.0093 0.3239
O 0.5732 0.8220 0.4738
O 0.5897 0.8404 0.8736
O 0.6576 0.4139 0.4337
O 0.7023 0.4374 0.9256
O 0.7235 0.4755 0.1568
O 0.7424 0.6834 0.6795
O 0.7743 0.8365 0.3287
O 0.7856 0.0374 0.8442
O 0.8239 0.0588 0.0765
O 0.8432 0.0983 0.5703
O 0.9153 0.4783 0.6757
O 0.9219 0.6725 0.1297
O 0.9363 0.6836 0.5369

Calculated values
E in eV/atom: -6.685
Volume in Å³/f.u.: 153
Calculated formation energy in eV/atom: -2.241
ρ in kg/m³: 2787
Polymorph energy (0 for the lowest one) in meV per atom: 16